MgVZn2WO6: relaxed, PBE with a Hubbard U.

Cell and atoms, written as POSCAR:
```
MgVZn2WO6
1.0
5.333 0.000 0.000
2.658 4.903 0.000
1.713 1.662 5.234
Mg V Zn W O
1 1 2 1 6
Direct
0.000 0.000 0.000
0.677 0.627 0.013
0.351 0.593 0.740
0.698 0.054 0.517
0.043 0.405 0.438
0.317 0.585 0.126
0.340 0.994 0.689
0.726 0.280 0.727
0.740 0.788 0.212
0.930 0.229 0.221
0.982 0.645 0.694
```

Properties
SG	P1, No. 1
calculated total energy	-6.11	eV per atom
DFT formation energy	-21.6	eV/f.u.
energy with MP2020 corrections	-7.040	eV per atom
crystal system	triclinic

---

Cr3O: relaxed, PBE with a Hubbard U.

Cell and atoms, written as POSCAR:
```
Cr3O
1.0
2.747 1.586 4.696
-2.747 1.586 4.696
0.000 -3.172 4.696
Cr O
6 2
Direct
0.090 0.750 0.410
0.250 0.590 0.910
0.410 0.090 0.750
0.590 0.910 0.250
0.750 0.410 0.090
0.910 0.250 0.590
0.000 0.000 0.000
0.500 0.500 0.500
```

Properties
SG	R-3c, No. 167
calculated total energy	-6.72	eV per atom
DFT formation energy	0.3	eV/f.u.
energy with MP2020 corrections	-8.395	eV per atom
crystal system	trigonal

---

La6Mn5O18: relaxed, PBE with a Hubbard U.

Cell and atoms, written as POSCAR:
```
La6Mn5O18
1.0
7.869 0.000 0.000
3.729 8.675 0.000
0.004 3.651 10.606
La Mn O
12 10 36
Direct
0.075 0.306 0.422
0.101 0.315 0.922
0.245 0.003 0.751
0.256 0.997 0.253
0.401 0.684 0.580
0.423 0.694 0.075
0.577 0.306 0.925
0.599 0.316 0.420
0.744 0.003 0.747
0.755 0.997 0.249
0.899 0.685 0.078
0.925 0.694 0.578
0.000 0.000 0.000
0.169 0.663 0.838
0.170 0.661 0.333
0.330 0.341 0.168
0.331 0.336 0.664
0.500 0.000 0.500
0.669 0.664 0.336
0.670 0.659 0.832
0.830 0.339 0.667
0.831 0.337 0.162
0.036 0.855 0.896
0.053 0.842 0.386
0.080 0.337 0.699
0.084 0.333 0.200
0.130 0.802 0.673
0.133 0.807 0.157
0.197 0.529 0.015
0.208 0.529 0.515
0.232 0.005 0.965
0.269 0.994 0.467
0.290 0.473 0.778
0.304 0.471 0.280
0.366 0.190 0.560
0.371 0.201 0.073
0.418 0.662 0.868
0.418 0.667 0.366
0.447 0.156 0.809
0.464 0.147 0.322
0.536 0.853 0.678
0.553 0.844 0.191
0.582 0.333 0.634
0.582 0.338 0.132
0.629 0.799 0.927
0.634 0.810 0.440
0.696 0.529 0.720
0.710 0.527 0.222
0.731 0.006 0.533
0.768 0.995 0.035
0.792 0.471 0.485
0.803 0.471 0.985
0.867 0.193 0.843
0.870 0.198 0.327
0.916 0.667 0.800
0.920 0.663 0.301
0.947 0.158 0.614
0.964 0.145 0.104
```

Properties
SG	P-1, No. 2
calculated total energy	-7.93	eV per atom
DFT formation energy	-86.2	eV/f.u.
energy with MP2020 corrections	-8.645	eV per atom
crystal system	triclinic

---

MgMn2O4: relaxed, PBE with a Hubbard U.

Cell and atoms, written as POSCAR:
```
MgMn2O4
1.0
5.323 0.000 0.000
0.000 2.877 0.000
-0.362 0.000 5.605
Mg Mn O
1 2 4
Direct
0.000 0.000 0.000
0.000 0.500 0.500
0.500 0.000 0.000
0.158 0.000 0.685
0.281 0.500 0.109
0.719 0.500 0.891
0.842 0.000 0.315
```

Properties
SG	P2/m, No. 10
calculated total energy	-7.00	eV per atom
DFT formation energy	-15.4	eV/f.u.
energy with MP2020 corrections	-7.868	eV per atom
crystal system	monoclinic

---

MnNi18O20: relaxed, PBE with a Hubbard U.

Cell and atoms, written as POSCAR:
```
MnNi18O20
1.0
-2.977 2.977 20.978
2.977 -2.977 20.978
2.977 2.977 -20.978
Mn Ni O
2 36 40
Direct
0.200 0.200 0.000
0.800 0.800 0.000
0.000 0.000 0.000
0.000 0.000 0.500
0.000 0.500 0.000
0.000 0.500 0.500
0.100 0.100 0.000
0.100 0.600 0.500
0.106 0.106 0.514
0.106 0.593 0.000
0.200 0.200 0.500
0.200 0.700 0.000
0.200 0.700 0.500
0.300 0.300 0.500
0.300 0.800 0.000
0.300 0.800 0.500
0.400 0.400 0.000
0.400 0.900 0.500
0.407 0.407 0.514
0.407 0.894 0.000
0.500 0.000 0.000
0.500 0.000 0.500
0.500 0.500 0.000
0.500 0.500 0.500
0.593 0.106 0.000
0.593 0.593 0.486
0.600 0.100 0.500
0.600 0.600 0.000
0.700 0.200 0.000
0.700 0.200 0.500
0.700 0.700 0.500
0.800 0.300 0.000
0.800 0.300 0.500
0.800 0.800 0.500
0.894 0.407 0.000
0.894 0.894 0.486
0.900 0.400 0.500
0.900 0.900 0.000
0.028 0.028 0.457
0.028 0.571 0.000
0.050 0.050 0.000
0.050 0.550 0.500
0.148 0.148 0.496
0.148 0.652 0.000
0.151 0.651 0.500
0.153 0.153 0.000
0.245 0.245 0.000
0.250 0.250 0.500
0.250 0.750 0.000
0.250 0.750 0.500
0.348 0.348 0.496
0.348 0.852 0.000
0.349 0.849 0.500
0.353 0.353 0.000
0.429 0.429 0.457
0.429 0.972 0.000
0.450 0.450 0.000
0.450 0.950 0.500
0.550 0.050 0.500
0.550 0.550 0.000
0.571 0.028 0.000
0.571 0.571 0.543
0.647 0.647 0.000
0.651 0.151 0.500
0.652 0.148 0.000
0.652 0.652 0.504
0.750 0.250 0.000
0.750 0.250 0.500
0.750 0.750 0.500
0.755 0.755 0.000
0.847 0.847 0.000
0.849 0.349 0.500
0.852 0.348 0.000
0.852 0.852 0.504
0.950 0.450 0.500
0.950 0.950 0.000
0.972 0.429 0.000
0.972 0.972 0.543
```

Properties
SG	I4/mmm, No. 139
calculated total energy	-5.10	eV per atom
DFT formation energy	-48.1	eV/f.u.
energy with MP2020 corrections	-6.672	eV per atom
crystal system	tetragonal

---

FeP3O9: relaxed, PBE with a Hubbard U.

Cell and atoms, written as POSCAR:
```
FeP3O9
1.0
6.694 -9.703 0.000
6.694 9.703 0.000
-5.761 0.000 7.666
Fe P O
6 18 54
Direct
0.079 0.921 0.500
0.226 0.737 0.968
0.414 0.591 0.503
0.591 0.414 0.003
0.737 0.226 0.468
0.921 0.079 0.000
0.154 0.551 0.153
0.210 0.485 0.655
0.244 0.285 0.774
0.268 0.995 0.314
0.285 0.244 0.274
0.325 0.934 0.806
0.485 0.210 0.155
0.551 0.154 0.653
0.565 0.938 0.755
0.581 0.870 0.210
0.618 0.672 0.337
0.672 0.618 0.837
0.832 0.894 0.176
0.870 0.581 0.710
0.894 0.832 0.676
0.934 0.325 0.306
0.938 0.565 0.255
0.995 0.268 0.814
0.016 0.664 0.870
0.025 0.915 0.676
0.028 0.408 0.969
0.061 0.602 0.213
0.073 0.363 0.466
0.136 0.166 0.124
0.142 0.925 0.329
0.153 0.307 0.861
0.166 0.136 0.624
0.169 0.547 0.779
0.234 0.520 0.279
0.235 0.807 0.805
0.239 0.661 0.126
0.257 0.918 0.145
0.262 0.937 0.643
0.266 0.391 0.703
0.307 0.153 0.361
0.317 0.589 0.639
0.345 0.387 0.426
0.363 0.073 0.966
0.387 0.345 0.926
0.391 0.266 0.203
0.408 0.028 0.469
0.437 0.820 0.067
0.471 0.795 0.586
0.480 0.959 0.853
0.513 0.586 0.370
0.520 0.234 0.779
0.547 0.169 0.279
0.557 0.755 0.267
0.586 0.513 0.870
0.589 0.317 0.139
0.595 0.655 0.718
0.602 0.061 0.713
0.655 0.595 0.218
0.661 0.239 0.626
0.664 0.016 0.370
0.671 0.855 0.119
0.706 0.974 0.886
0.755 0.557 0.767
0.759 0.804 0.521
0.795 0.471 0.086
0.804 0.759 0.021
0.807 0.235 0.305
0.820 0.437 0.567
0.855 0.671 0.619
0.897 0.898 0.344
0.898 0.897 0.844
0.915 0.025 0.176
0.918 0.257 0.645
0.925 0.142 0.829
0.937 0.262 0.143
0.959 0.480 0.353
0.974 0.706 0.386
```

Properties
SG	Cc, No. 9
calculated total energy	-7.16	eV per atom
DFT formation energy	-32.2	eV/f.u.
energy with MP2020 corrections	-7.806	eV per atom
crystal system	monoclinic

---

Li3Mn4B4O12: relaxed, PBE with a Hubbard U.

Cell and atoms, written as POSCAR:
```
Li3Mn4B4O12
1.0
9.084 0.000 0.000
4.539 7.914 0.000
4.298 2.433 10.420
Li Mn B O
9 12 12 36
Direct
0.000 0.000 0.000
0.003 0.046 0.249
0.146 0.231 0.479
0.324 0.360 0.973
0.449 0.554 0.497
0.494 0.552 0.749
0.666 0.735 0.234
0.675 0.690 0.978
0.822 0.865 0.481
0.023 0.666 0.272
0.122 0.883 0.528
0.124 0.561 0.767
0.325 0.076 0.267
0.334 0.670 0.026
0.498 0.177 0.519
0.508 0.883 0.774
0.640 0.396 0.263
0.641 0.029 0.013
0.784 0.528 0.524
0.853 0.198 0.767
0.975 0.333 0.017
0.142 0.518 0.516
0.183 0.851 0.789
0.306 0.014 0.032
0.315 0.738 0.282
0.459 0.864 0.528
0.498 0.227 0.763
0.643 0.345 0.020
0.676 0.027 0.283
0.797 0.198 0.519
0.832 0.533 0.776
0.971 0.671 0.028
0.974 0.389 0.277
0.060 0.714 0.079
0.071 0.533 0.965
0.074 0.007 0.818
0.128 0.068 0.053
0.135 0.783 0.725
0.138 0.315 0.295
0.178 0.608 0.571
0.211 0.894 0.319
0.246 0.353 0.507
0.249 0.672 0.230
0.306 0.983 0.489
0.344 0.754 0.821
0.366 0.109 0.059
0.388 0.393 0.778
0.426 0.864 0.986
0.461 0.143 0.703
0.474 0.414 0.014
0.484 0.644 0.296
0.520 0.687 0.544
0.557 0.922 0.556
0.579 0.180 0.332
0.594 0.979 0.233
0.634 0.317 0.489
0.645 0.131 0.812
0.697 0.440 0.057
0.754 0.697 0.794
0.757 0.470 0.730
0.766 0.185 0.993
0.795 0.758 0.042
0.848 0.930 0.289
0.863 0.556 0.307
0.866 0.029 0.512
0.886 0.257 0.555
0.912 0.316 0.230
0.989 0.614 0.467
0.997 0.420 0.805
```

Properties
SG	P1, No. 1
calculated total energy	-7.40	eV per atom
DFT formation energy	-56.8	eV/f.u.
energy with MP2020 corrections	-8.053	eV per atom
crystal system	triclinic

---

Nd2W2O9: relaxed, PBE with a Hubbard U.

Cell and atoms, written as POSCAR:
```
Nd2W2O9
1.0
7.791 0.000 0.000
0.000 10.004 0.000
-2.849 0.000 8.924
Nd W O
8 8 36
Direct
0.213 0.051 0.425
0.213 0.449 0.925
0.273 0.055 0.848
0.273 0.445 0.348
0.727 0.555 0.652
0.727 0.945 0.152
0.787 0.551 0.075
0.787 0.949 0.575
0.079 0.731 0.466
0.079 0.769 0.966
0.428 0.749 0.762
0.428 0.751 0.262
0.572 0.249 0.738
0.572 0.251 0.238
0.921 0.231 0.034
0.921 0.269 0.534
0.001 0.598 0.325
0.001 0.902 0.825
0.054 0.104 0.609
0.054 0.396 0.109
0.090 0.208 0.930
0.090 0.292 0.430
0.235 0.634 0.138
0.235 0.866 0.638
0.244 0.685 0.861
0.244 0.815 0.361
0.275 0.622 0.583
0.275 0.878 0.083
0.398 0.218 0.337
0.398 0.282 0.837
0.444 0.092 0.654
0.444 0.408 0.154
0.494 0.118 0.096
0.494 0.382 0.596
0.506 0.618 0.404
0.506 0.882 0.904
0.556 0.592 0.846
0.556 0.908 0.346
0.602 0.718 0.163
0.602 0.782 0.663
0.725 0.122 0.917
0.725 0.378 0.417
0.756 0.185 0.639
0.756 0.315 0.139
0.765 0.134 0.362
0.765 0.366 0.862
0.910 0.708 0.570
0.910 0.792 0.070
0.946 0.604 0.891
0.946 0.896 0.391
0.999 0.098 0.175
0.999 0.402 0.675
```

Properties
SG	P2_1/c, No. 14
calculated total energy	-7.92	eV per atom
DFT formation energy	-38.0	eV/f.u.
energy with MP2020 corrections	-9.078	eV per atom
crystal system	monoclinic